Below is a relaxed Eu2Co2O5 crystal, with properties calculated at the PBE with a Hubbard U level.

Cell: 8.6445 8.6445 8.6445 Å, 144.08 141.70 53.52°
Fractional positions:
O: 0.6459 0.3375 0.4834
Co: 0.6830 0.7171 0.9001
Eu: 0.9145 0.3923 0.5277
O: 0.3541 0.8375 0.6917
Eu: 0.0855 0.6132 0.4778
O: 0.7388 0.7428 0.5128
O: 0.2916 0.4003 0.9669
O: 0.0666 0.1753 0.9669
Co: 0.3170 0.2171 0.0341
O: 0.9334 0.9003 0.1086
O: 0.2700 0.2740 0.5128
Eu: 0.6354 0.1132 0.5277
O: 0.2612 0.7740 0.0040
Eu: 0.3646 0.8923 0.4778
Co: 0.0000 0.0115 0.0115
O: 0.7084 0.6753 0.1086
O: 0.7300 0.2428 0.0040
Co: 0.5000 0.5115 0.0115

Space-group type: No. 46
Offset from the most stable computed form (meV per atom): 0

---

Below is a relaxed Eu2CoPtO6 crystal, with properties calculated at the PBE with a Hubbard U level.

Cell: 5.7779 5.4863 9.4908 Å, 54.87 90.00 90.00°
Fractional positions:
O: 0.3064 0.6497 0.5469
Eu: 0.5607 0.2685 0.7483
Co: 0.0000 0.5000 0.5000
O: 0.9635 0.1491 0.7498
O: 0.1936 0.6497 0.0469
O: 0.8064 0.3503 0.9531
O: 0.5365 0.1491 0.2498
O: 0.4635 0.8509 0.7502
Eu: 0.4393 0.7315 0.2517
O: 0.2940 0.2453 0.9461
Pt: 0.5000 0.0000 0.5000
Co: 0.5000 0.5000 0.0000
O: 0.7060 0.7547 0.0539
Eu: 0.9393 0.2685 0.2483
O: 0.0365 0.8509 0.2502
O: 0.2060 0.2453 0.4461
Eu: 0.0607 0.7315 0.7517
Pt: 0.0000 0.0000 0.0000
O: 0.6936 0.3503 0.4531
O: 0.7940 0.7547 0.5539

Space-group type: No. 14

---

Below is a relaxed Eu2CoSi3O10 crystal, with properties calculated at the PBE with a Hubbard U level.

Cell: 6.6551 6.8146 17.2584 Å, 90.00 89.87 90.00°
Fractional positions:
O: 0.1112 0.6773 0.9946
O: 0.6852 0.0060 0.9597
O: 0.9390 0.4189 0.3118
O: 0.0718 0.5352 0.8576
Co: 0.3503 0.0541 0.9228
Eu: 0.1034 0.2729 0.7603
O: 0.7153 0.3224 0.8693
Si: 0.2539 0.0692 0.5780
O: 0.2153 0.1776 0.3693
Si: 0.1586 0.8230 0.0691
O: 0.4390 0.0811 0.8118
Co: 0.1497 0.5541 0.5772
Eu: 0.3966 0.7729 0.7397
Eu: 0.8966 0.7271 0.2397
Co: 0.6497 0.9459 0.0772
O: 0.4573 0.5900 0.6087
O: 0.5427 0.4100 0.3913
O: 0.4282 0.0352 0.6424
Eu: 0.2315 0.3208 0.0904
O: 0.8365 0.1348 0.4581
Eu: 0.2685 0.8208 0.4096
O: 0.3888 0.1773 0.5054
O: 0.3365 0.3652 0.9581
Si: 0.0835 0.2321 0.2886
Si: 0.6586 0.6770 0.5691
O: 0.8888 0.3227 0.0054
O: 0.2439 0.7617 0.2767
Eu: 0.6034 0.2271 0.2603
O: 0.1635 0.8652 0.5419
O: 0.0919 0.2336 0.6078
O: 0.4081 0.7336 0.8922
Si: 0.3414 0.3230 0.4309
O: 0.7561 0.2383 0.7233
O: 0.9282 0.4648 0.1424
O: 0.2561 0.2617 0.2233
O: 0.9081 0.7664 0.3922
Eu: 0.7685 0.6792 0.9096
Si: 0.7539 0.4308 0.0780
O: 0.6635 0.6348 0.0419
O: 0.0610 0.5811 0.6882
O: 0.5718 0.9648 0.3576
O: 0.5919 0.2664 0.1078
O: 0.9573 0.9100 0.1087
Si: 0.5835 0.2679 0.7886
O: 0.2847 0.6776 0.1307
Si: 0.4165 0.7321 0.2114
O: 0.9211 0.0643 0.2679
O: 0.7439 0.7383 0.7767
O: 0.5789 0.5643 0.2321
O: 0.5610 0.9189 0.1882
O: 0.4211 0.4357 0.7679
Si: 0.9165 0.7679 0.7114
O: 0.0427 0.0900 0.8913
O: 0.7847 0.8224 0.6307
O: 0.3148 0.9940 0.0403
Eu: 0.7315 0.1792 0.5904
Si: 0.7461 0.9308 0.4220
O: 0.6112 0.8227 0.4946
O: 0.8148 0.5060 0.5403
O: 0.1852 0.4940 0.4597
Si: 0.8414 0.1770 0.9309
O: 0.0789 0.9357 0.7321
Si: 0.2461 0.5692 0.9220
Co: 0.8503 0.4459 0.4228

Space-group type: No. 14

---

Below is a relaxed SmEuCo4O12 crystal, with properties calculated at the PBE with a Hubbard U level.

Cell: 5.2518 5.2518 7.5045 Å, 90.00 90.00 90.00°
Fractional positions:
O: 0.5000 0.0000 0.5000
O: 0.2484 0.7516 0.2518
O: 0.2484 0.2484 0.7482
O: 0.5000 0.0000 0.0000
O: 0.7516 0.2484 0.2518
O: 0.7516 0.7516 0.7482
O: 0.7516 0.2484 0.7482
O: 0.2484 0.7516 0.7482
Co: 0.5000 0.0000 0.7520
O: 0.2484 0.2484 0.2518
O: 0.7516 0.7516 0.2518
Co: 0.0000 0.5000 0.7520
Eu: 0.5000 0.5000 0.0000
O: 0.0000 0.5000 0.5000
Co: 0.5000 0.0000 0.2480
O: 0.0000 0.5000 0.0000
Sm: 0.0000 0.0000 0.5000
Co: 0.0000 0.5000 0.2480

Space-group type: No. 123

---

Number 1: energy relative to the elements -2.298 eV/atom, E_tot -0.5997 Ry per atom. Number 2: energy relative to the elements -2.181 eV/atom, E_tot -0.5838 Ry per atom. Number 3: energy relative to the elements -3.001 eV/atom, E_tot -0.6104 Ry per atom. Number 4: energy relative to the elements -1.457 eV/atom, E_tot -0.4664 Ry per atom.